# 1
Entry from the Materials Project database: a relaxed structure of Eu2Ge2Se5 (GGA-PBE).

Cell lengths 8.515, 12.335, 12.048 Å; angles 90.00, 130.36, 90.00 degrees
Fractional positions:
Eu (0.014, 0.162, 0.471)
Eu (0.014, 0.338, 0.971)
Eu (0.464, 0.696, 0.521)
Eu (0.464, 0.804, 0.021)
Eu (0.536, 0.196, 0.979)
Eu (0.536, 0.304, 0.479)
Eu (0.986, 0.662, 0.029)
Eu (0.986, 0.838, 0.529)
Ge (0.156, 0.050, 0.165)
Ge (0.156, 0.450, 0.665)
Ge (0.486, 0.020, 0.686)
Ge (0.486, 0.480, 0.186)
Ge (0.514, 0.520, 0.814)
Ge (0.514, 0.980, 0.314)
Ge (0.844, 0.550, 0.335)
Ge (0.844, 0.950, 0.835)
Se (0.060, 0.210, 0.223)
Se (0.060, 0.290, 0.723)
Se (0.102, 0.094, 0.941)
Se (0.102, 0.406, 0.441)
Se (0.245, 0.561, 0.953)
Se (0.245, 0.939, 0.453)
Se (0.316, 0.507, 0.285)
Se (0.316, 0.993, 0.785)
Se (0.483, 0.716, 0.793)
Se (0.483, 0.784, 0.293)
Se (0.517, 0.216, 0.707)
Se (0.517, 0.284, 0.207)
Se (0.684, 0.007, 0.215)
Se (0.684, 0.493, 0.715)
Se (0.755, 0.061, 0.547)
Se (0.755, 0.439, 0.047)
Se (0.898, 0.594, 0.559)
Se (0.898, 0.906, 0.059)
Se (0.940, 0.710, 0.277)
Se (0.940, 0.790, 0.777)

Output
- Theoretical density: 5.81 g cm⁻³
- Calculated volume: 26.79 A^3/atom
- E_tot: -6.286 eV per atom
- MP2020-corrected energy: -6.55 eV per atom
- Energy relative to the elements: -1299 meV per atom

=====

# 2
Entry from the Materials Project database: a relaxed structure of Sr2Eu3Ge10 (GGA-PBE).

Cell lengths 4.202, 4.202, 24.930 Å; angles 90.00, 90.00, 120.00 degrees
Fractional positions:
Sr (0.000, 0.000, 0.100)
Sr (0.000, 0.000, 0.900)
Eu (0.000, 0.000, 0.300)
Eu (0.000, 0.000, 0.500)
Eu (0.000, 0.000, 0.700)
Ge (0.333, 0.667, 0.020)
Ge (0.333, 0.667, 0.221)
Ge (0.333, 0.667, 0.420)
Ge (0.333, 0.667, 0.620)
Ge (0.333, 0.667, 0.818)
Ge (0.667, 0.333, 0.182)
Ge (0.667, 0.333, 0.380)
Ge (0.667, 0.333, 0.580)
Ge (0.667, 0.333, 0.779)
Ge (0.667, 0.333, 0.980)

Output
- Theoretical density: 5.91 g cm⁻³
- Calculated volume: 25.42 A^3/atom
- E_tot: -5.881 eV per atom
- Energy relative to the elements: -523 meV per atom

=====

# 3
Entry from the Materials Project database: a relaxed structure of EuZnGe (GGA-PBE).

Cell lengths 4.503, 4.503, 7.680 Å; angles 90.00, 90.00, 120.00 degrees
Fractional positions:
Eu (0.000, 0.000, 0.000)
Eu (0.000, 0.000, 0.500)
Zn (0.333, 0.667, 0.275)
Zn (0.667, 0.333, 0.775)
Ge (0.333, 0.667, 0.717)
Ge (0.667, 0.333, 0.217)

Output
- Theoretical density: 7.14 g cm⁻³
- Calculated volume: 22.47 A^3/atom
- E_tot: -5.939 eV per atom
- Energy relative to the elements: -559 meV per atom

=====

# 4
Entry from the Materials Project database: a relaxed structure of EuZnGe (GGA-PBE).

Cell lengths 4.437, 4.437, 8.486 Å; angles 90.00, 90.00, 120.00 degrees
Fractional positions:
Eu (0.000, 0.000, 0.249)
Eu (0.000, 0.000, 0.751)
Zn (0.333, 0.667, 0.000)
Zn (0.667, 0.333, 0.000)
Ge (0.333, 0.667, 0.500)
Ge (0.667, 0.333, 0.500)

Output
- Theoretical density: 6.66 g cm⁻³
- Calculated volume: 24.11 A^3/atom
- E_tot: -5.769 eV per atom
- Energy relative to the elements: -389 meV per atom